# 1
Ba6La2Co4O15 | PBE+U | optimized geometry

Unit cell a=11.9370 b=11.9370 c=7.1348 alpha=89.37 beta=89.37 gamma=119.49
Positions (direct):
Ba 0.0003 0.0013 0.5033
Ba 0.0013 0.0003 0.0033
Ba 0.3342 0.6654 0.0257
Ba 0.6654 0.3342 0.5257
Ba 0.5217 0.0468 0.1731
Ba 0.0468 0.5217 0.6731
Ba 0.8197 0.6465 0.8375
Ba 0.3536 0.1766 0.8394
Ba 0.8194 0.1765 0.8359
Ba 0.1766 0.3536 0.3394
Ba 0.6465 0.8197 0.3375
Ba 0.1765 0.8194 0.3359
La 0.9517 0.4755 0.1791
La 0.5235 0.4780 0.1695
La 0.4755 0.9517 0.6791
La 0.4780 0.5235 0.6695
Co 0.6627 0.3301 0.9880
Co 0.3301 0.6627 0.4880
Co 0.1692 0.8162 0.8381
Co 0.1751 0.3541 0.8447
Co 0.6492 0.8231 0.8376
Co 0.8162 0.1692 0.3381
Co 0.8231 0.6492 0.3376
Co 0.3541 0.1751 0.3447
O 0.4156 0.5864 0.3385
O 0.4102 0.8178 0.3479
O 0.1647 0.5819 0.3215
O 0.5864 0.4156 0.8385
O 0.5819 0.1647 0.8215
O 0.8178 0.4102 0.8479
O 0.9284 0.3253 0.4575
O 0.6649 0.6039 0.4701
O 0.3921 0.0715 0.4872
O 0.9284 0.6055 0.4615
O 0.6761 0.0671 0.4863
O 0.4007 0.3337 0.4720
O 0.0671 0.6761 0.9863
O 0.3337 0.4007 0.9720
O 0.6055 0.9284 0.9615
O 0.0715 0.3921 0.9872
O 0.3253 0.9284 0.9575
O 0.6039 0.6649 0.9701
O 0.1031 0.1981 0.7387
O 0.8124 0.8983 0.7430
O 0.0979 0.9042 0.7357
O 0.8983 0.8124 0.2430
O 0.1981 0.1031 0.2387
O 0.9042 0.0979 0.2357
O 0.7583 0.2591 0.1610
O 0.7511 0.5088 0.1665
O 0.5020 0.2621 0.1603
O 0.2591 0.7583 0.6610
O 0.2621 0.5020 0.6603
O 0.5088 0.7511 0.6665

Calculated values
Space-group type: Cc
ρ: 5.92 g cm⁻³
ΔE_f: -2.545 eV per atom
Magnetization: 24.00 μB per cell
Total DFT energy (no corrections): -6.5142 eV/atom


# 2
BaLa3Co4O12 | PBE+U | optimized geometry

Unit cell a=6.7484 b=6.7484 c=6.7484 alpha=109.47 beta=109.47 gamma=109.47
Positions (direct):
Ba 0.0000 0.0000 0.0000
La 0.5000 0.5000 0.0000
La 0.5000 0.0000 0.5000
La 0.0000 0.5000 0.5000
Co 0.5000 0.0000 0.0000
Co 0.0000 0.5000 0.0000
Co 0.5000 0.5000 0.5000
Co 0.0000 0.0000 0.5000
O 0.7429 0.0000 0.2571
O 0.2571 0.5141 0.2571
O 0.7429 0.4859 0.7429
O 0.2571 0.0000 0.7429
O 0.2571 0.2571 0.5141
O 0.7429 0.7429 0.4859
O 0.2571 0.7429 0.0000
O 0.7429 0.2571 0.0000
O 0.0000 0.7429 0.2571
O 0.5141 0.2571 0.2571
O 0.0000 0.2571 0.7429
O 0.4859 0.7429 0.7429

Calculated values
Space-group type: Im-3m
ρ: 6.89 g cm⁻³
ΔE_f: -2.363 eV per atom
Magnetization: 11.80 μB per cell
Total DFT energy (no corrections): -6.8497 eV/atom


# 3
Ba4Sr2La2Co4O15 | PBE+U | optimized geometry

Unit cell a=11.8738 b=11.8738 c=6.9960 alpha=89.75 beta=89.75 gamma=120.11
Positions (direct):
Ba 0.6676 0.3346 0.9834
Ba 0.3346 0.6676 0.4834
Ba 0.3448 0.1714 0.6670
Ba 0.8255 0.6530 0.6629
Ba 0.8258 0.1744 0.6661
Ba 0.6530 0.8255 0.1629
Ba 0.1714 0.3448 0.1670
Ba 0.1744 0.8258 0.1661
Sr 0.9998 0.0001 0.4826
Sr 0.0001 0.9998 0.9826
Sr 0.9502 0.4736 0.3257
Sr 0.4736 0.9502 0.8257
La 0.5220 0.0464 0.3259
La 0.5228 0.4757 0.3292
La 0.0464 0.5220 0.8259
La 0.4757 0.5228 0.8292
Co 0.3472 0.1719 0.1592
Co 0.8277 0.6493 0.1586
Co 0.8237 0.1731 0.1579
Co 0.6493 0.8277 0.6586
Co 0.1719 0.3472 0.6592
Co 0.1731 0.8237 0.6579
Co 0.6679 0.3334 0.5268
Co 0.3334 0.6679 0.0268
O 0.6058 0.6700 0.5255
O 0.0685 0.3951 0.5294
O 0.3287 0.9367 0.5153
O 0.3316 0.3946 0.5273
O 0.6072 0.9335 0.5182
O 0.0688 0.6738 0.5255
O 0.3946 0.3316 0.0273
O 0.9335 0.6072 0.0182
O 0.6738 0.0688 0.0255
O 0.6700 0.6058 0.0255
O 0.3951 0.0685 0.0294
O 0.9367 0.3287 0.0153
O 0.8321 0.4175 0.6677
O 0.5862 0.1738 0.6538
O 0.5847 0.4183 0.6640
O 0.1738 0.5862 0.1538
O 0.4175 0.8321 0.1677
O 0.4183 0.5847 0.1640
O 0.4925 0.2477 0.3339
O 0.7466 0.5018 0.3329
O 0.7501 0.2429 0.3332
O 0.5018 0.7466 0.8329
O 0.2477 0.4925 0.8339
O 0.2429 0.7501 0.8332
O 0.8168 0.9055 0.7435
O 0.0943 0.1798 0.7422
O 0.0969 0.9149 0.7442
O 0.1798 0.0943 0.2422
O 0.9055 0.8168 0.2435
O 0.9149 0.0969 0.2442

Calculated values
Space-group type: Cc
ρ: 5.75 g cm⁻³
ΔE_f: -2.591 eV per atom
Magnetization: 24.00 μB per cell
Total DFT energy (no corrections): -6.5439 eV/atom


# 4
BaLu2CoO5 | PBE+U | optimized geometry

Unit cell a=5.6706 b=7.0071 c=12.1611 alpha=90.00 beta=90.00 gamma=90.00
Positions (direct):
Ba 0.7500 0.0805 0.1010
Ba 0.7500 0.4195 0.6010
Ba 0.2500 0.5805 0.3990
Ba 0.2500 0.9195 0.8990
Lu 0.2500 0.4024 0.0743
Lu 0.7500 0.6205 0.2085
Lu 0.7500 0.8795 0.7085
Lu 0.2500 0.1205 0.2915
Lu 0.7500 0.5976 0.9256
Lu 0.7500 0.9024 0.4257
Lu 0.2500 0.0976 0.5743
Lu 0.2500 0.3795 0.7915
Co 0.2500 0.8086 0.1522
Co 0.7500 0.1914 0.8478
Co 0.7500 0.3086 0.3478
Co 0.2500 0.6914 0.6522
O 0.2500 0.4181 0.6039
O 0.7500 0.5819 0.3961
O 0.7500 0.9181 0.8961
O 0.2500 0.0819 0.1039
O 0.9986 0.8651 0.2752
O 0.4986 0.1349 0.7248
O 0.0014 0.3651 0.2248
O 0.5014 0.6349 0.7752
O 0.0014 0.1349 0.7248
O 0.5014 0.8651 0.2752
O 0.9986 0.6349 0.7752
O 0.4986 0.3651 0.2248
O 0.4994 0.6632 0.0659
O 0.9994 0.3368 0.9341
O 0.5006 0.1632 0.4341
O 0.0006 0.8368 0.5659
O 0.9994 0.1632 0.4341
O 0.4994 0.8368 0.5659
O 0.5006 0.3368 0.9341
O 0.0006 0.6632 0.0659

Calculated values
Space-group type: Pnma
ρ: 8.61 g cm⁻³
ΔE_f: -3.132 eV per atom
Magnetization: 4.00 μB per cell
Total DFT energy (no corrections): -7.3248 eV/atom